[1]
VASP calculation (meta-GGA r2SCAN) on an optimized crystal structure of PrNdHg2.

**Calculated formation energy**: -555 meV per atom
**Crystal system**: cubic
**Uncorrected energy**: -159.8 eV per cell

Unit cell a=5.4137 b=5.4137 c=5.4137 alpha=60.00 beta=60.00 gamma=60.00
Last column: nearest neighbours and their distance in Å.
Sites, in units of the cell vectors:
Pr1 0.0000 0.0000 0.0000  8 Hg 3.32
Nd1 0.5000 0.5000 0.5000  8 Hg 3.32
Hg1 0.2500 0.2500 0.2500  4 Pr 3.32, 4 Nd 3.32
Hg2 0.7500 0.7500 0.7500  4 Pr 3.32, 4 Nd 3.32

=====

[2]
VASP calculation (meta-GGA r2SCAN) on an optimized crystal structure of RbAg5S3.

**Calculated formation energy**: -395 meV per atom
**Crystal system**: hexagonal
**Uncorrected energy**: -890.2 eV per cell

Unit cell a=13.4969 b=13.4969 c=8.0511 alpha=90.00 beta=90.00 gamma=120.00
Last column: nearest neighbours and their distance in Å.
Sites, in units of the cell vectors:
Rb1 0.0000 0.0000 0.0000  6 S 3.32
Rb2 0.0000 0.0000 0.5000  6 S 3.32
Rb3 0.3333 0.6667 0.0010  6 S 3.31-3.32
Rb4 0.3333 0.6667 0.4990  6 S 3.31-3.32
Rb5 0.6667 0.3333 0.5010  6 S 3.31-3.32
Rb6 0.6667 0.3333 0.9990  6 S 3.31-3.32
Ag1 0.0000 0.5361 0.0000  2 S 2.39
Ag2 0.0000 0.5361 0.5000  2 S 2.39
Ag3 0.0012 0.3676 0.7500  3 S 2.50-2.72
Ag4 0.0053 0.7081 0.7500  3 S 2.51-2.77
Ag5 0.1485 0.3329 0.0004  2 S 2.38-2.39
Ag6 0.1485 0.3329 0.4996  2 S 2.38-2.39
Ag7 0.1844 0.8515 0.0004  2 S 2.38-2.39
Ag8 0.1844 0.8515 0.4996  2 S 2.38-2.39
Ag9 0.2919 0.2973 0.7500  3 S 2.51-2.77
Ag10 0.2973 0.2919 0.2500  3 S 2.51-2.77
Ag11 0.3329 0.1485 0.9996  2 S 2.38-2.39
Ag12 0.3329 0.1485 0.5004  2 S 2.38-2.39
Ag13 0.3664 0.9988 0.7500  3 S 2.50-2.72
Ag14 0.3676 0.0012 0.2500  3 S 2.50-2.72
Ag15 0.4639 0.4639 0.0000  2 S 2.39
Ag16 0.4639 0.4639 0.5000  2 S 2.39
Ag17 0.5361 0.0000 0.0000  2 S 2.39
Ag18 0.5361 0.0000 0.5000  2 S 2.39
Ag19 0.6324 0.6336 0.7500  3 S 2.50-2.72
Ag20 0.6336 0.6324 0.2500  3 S 2.50-2.72
Ag21 0.6671 0.8156 0.0004  2 S 2.38-2.39
Ag22 0.6671 0.8156 0.4996  2 S 2.38-2.39
Ag23 0.7027 0.9947 0.7500  3 S 2.51-2.77
Ag24 0.7081 0.0053 0.2500  3 S 2.51-2.77
Ag25 0.8156 0.6671 0.9996  2 S 2.38-2.39
Ag26 0.8156 0.6671 0.5004  2 S 2.38-2.39
Ag27 0.8515 0.1844 0.9996  2 S 2.38-2.39
Ag28 0.8515 0.1844 0.5004  2 S 2.38-2.39
Ag29 0.9947 0.7027 0.2500  3 S 2.51-2.77
Ag30 0.9988 0.3664 0.2500  3 S 2.50-2.72
S1 0.0864 0.2235 0.2500  3 Ag 2.38-2.51
S2 0.1097 0.5807 0.2500  3 Ag 2.39-2.50
S3 0.1371 0.9136 0.2500  3 Ag 2.38-2.51
S4 0.2197 0.7787 0.7500  4 Ag 2.39-2.62
S5 0.2213 0.4409 0.7500  4 Ag 2.39-2.62
S6 0.2235 0.0864 0.7500  3 Ag 2.38-2.51
S7 0.4193 0.5290 0.2500  3 Ag 2.39-2.50
S8 0.4409 0.2213 0.2500  4 Ag 2.39-2.62
S9 0.4710 0.8903 0.2500  3 Ag 2.39-2.50
S10 0.5290 0.4193 0.7500  3 Ag 2.39-2.50
S11 0.5591 0.7803 0.7500  4 Ag 2.39-2.62
S12 0.5807 0.1097 0.7500  3 Ag 2.39-2.50
S13 0.7765 0.8629 0.2500  3 Ag 2.38-2.51
S14 0.7787 0.2197 0.2500  4 Ag 2.39-2.62
S15 0.7803 0.5591 0.2500  4 Ag 2.39-2.62
S16 0.8629 0.7765 0.7500  3 Ag 2.38-2.51
S17 0.8903 0.4710 0.7500  3 Ag 2.39-2.50
S18 0.9136 0.1371 0.7500  3 Ag 2.38-2.51

=====

[3]
VASP calculation (meta-GGA r2SCAN) on an optimized crystal structure of Nd4PdO7.

**Calculated formation energy**: -3178 meV per atom
**Crystal system**: triclinic
**Uncorrected energy**: -441.2 eV per cell

Unit cell a=6.9408 b=7.2353 c=7.9676 alpha=70.04 beta=71.99 gamma=83.48
Last column: nearest neighbours and their distance in Å.
Sites, in units of the cell vectors:
Nd1 0.1453 0.3565 0.3568  5 O 2.30-2.52
Nd2 0.1687 0.3352 0.8770  5 O 2.30-2.55
Nd3 0.2781 0.8904 0.7118  6 O 2.33-2.59
Nd4 0.2904 0.8962 0.2274  6 O 2.36-2.51
Nd5 0.7096 0.1038 0.7726  6 O 2.36-2.51
Nd6 0.7219 0.1096 0.2882  6 O 2.33-2.59
Nd7 0.8313 0.6648 0.1230  5 O 2.30-2.55
Nd8 0.8547 0.6435 0.6432  5 O 2.30-2.52
Pd1 0.5000 0.5000 0.0000  4 O 2.04-2.06
Pd2 0.5000 0.5000 0.5000  4 O 2.03-2.07
O1 0.0316 0.2549 0.6776  3 Nd 2.30-2.39
O2 0.0695 0.1715 0.1974  4 Nd 2.33-2.36
O3 0.2070 0.5855 0.0095  1 Pd 2.04
O4 0.2332 0.6393 0.5796  1 Pd 2.03
O5 0.3450 0.0434 0.9015  4 Nd 2.30-2.45
O6 0.3546 0.0836 0.3977  4 Nd 2.31-2.43
O7 0.4504 0.5636 0.2433  2 Pd 2.06-2.07
O8 0.5496 0.4364 0.7567  2 Pd 2.06-2.07
O9 0.6454 0.9164 0.6023  4 Nd 2.31-2.43
O10 0.6550 0.9566 0.0985  4 Nd 2.30-2.45
O11 0.7668 0.3607 0.4204  1 Pd 2.03
O12 0.7930 0.4145 0.9905  1 Pd 2.04
O13 0.9305 0.8285 0.8026  4 Nd 2.33-2.36
O14 0.9684 0.7451 0.3224  3 Nd 2.30-2.39

=====

[4]
VASP calculation (meta-GGA r2SCAN) on an optimized crystal structure of PbCl2.

**Calculated formation energy**: -1309 meV per atom
**Crystal system**: orthorhombic
**Uncorrected energy**: -290.1 eV per cell

Unit cell a=7.6715 b=4.5480 c=9.1711 alpha=90.00 beta=90.00 gamma=90.00
Last column: nearest neighbours and their distance in Å.
Sites, in units of the cell vectors:
Pb1 0.2363 0.2500 0.0906  7 Cl 2.83-3.13
Pb2 0.2637 0.7500 0.5906  7 Cl 2.83-3.13
Pb3 0.7363 0.2500 0.4094  7 Cl 2.83-3.13
Pb4 0.7637 0.7500 0.9094  7 Cl 2.83-3.13
Cl1 0.0172 0.2500 0.8424  3 Pb 2.83-3.06
Cl2 0.1415 0.2500 0.4226  4 Pb 2.90-3.13
Cl3 0.3585 0.7500 0.9226  4 Pb 2.90-3.13
Cl4 0.4828 0.7500 0.3424  3 Pb 2.83-3.06
Cl5 0.5172 0.2500 0.6576  3 Pb 2.83-3.06
Cl6 0.6415 0.2500 0.0774  4 Pb 2.90-3.13
Cl7 0.8585 0.7500 0.5774  4 Pb 2.90-3.13
Cl8 0.9828 0.7500 0.1576  3 Pb 2.83-3.06

=====

What is the formula in the fourth record?
PbCl2

=====

Which value of calculated formation energy does entry 2 give?
-395 meV per atom

=====

Look up the calculated formation energy of the third one.
-3178 meV per atom